<1>
6
Lattice="3.252 -2.960 0.000 3.252 2.960 0.000 -0.584 0.000 4.384" Properties=species:S:1:pos:R:3 comment="MgFePbO3 | the Materials Project | GGA+U | relaxed" density_g_cm3=6.60 space_group="Cm (8)" pbc="T T T"
Mg 0.000 0.000 0.000
Fe 1.538 0.000 3.081
Pb 3.947 0.000 1.591
O 1.753 0.000 0.922
O 3.104 1.489 3.129
O 3.104 -1.489 3.129

<2>
6
Lattice="3.936 0.000 0.000 0.000 3.936 0.000 0.000 0.000 6.042" Properties=species:S:1:pos:R:3 comment="MgFePbO3 | the Materials Project | GGA+U | relaxed" density_g_cm3=5.95 space_group="P4/mmm (123)" pbc="T T T"
Mg 0.000 0.000 0.000
Fe 1.968 1.968 0.000
Pb 0.000 0.000 3.021
O 0.000 1.968 0.000
O 1.968 0.000 0.000
O 1.968 1.968 3.021

Most stable structure, least stable structure: <1>, <2>.

<1>
32
Lattice="4.379 0.000 0.000 0.000 8.661 0.000 0.000 0.000 8.744" Properties=species:S:1:pos:R:3 comment="RbMg14FeO16 | the Materials Project | GGA+U | relaxed" density_g_cm3=3.69 space_group="Pmmm (47)" pbc="T T T"
Rb 0.000 0.000 0.000
Mg 0.000 0.000 4.372
Mg 0.000 2.170 2.250
Mg 0.000 2.170 6.495
Mg 0.000 4.330 4.372
Mg 0.000 6.491 2.250
Mg 0.000 6.491 6.495
Mg 2.189 0.000 2.275
Mg 2.189 0.000 6.469
Mg 2.189 2.169 4.372
Mg 2.189 2.211 0.000
Mg 2.189 4.330 2.217
Mg 2.189 4.330 6.527
Mg 2.189 6.450 0.000
Mg 2.189 6.492 4.372
Fe 0.000 4.330 0.000
O 0.000 0.000 2.445
O 0.000 0.000 6.299
O 0.000 2.229 4.372
O 0.000 2.434 0.000
O 0.000 4.330 2.229
O 0.000 4.330 6.516
O 0.000 6.227 0.000
O 0.000 6.432 4.372
O 2.189 0.000 0.000
O 2.189 0.000 4.372
O 2.189 2.169 2.178
O 2.189 2.169 6.566
O 2.189 4.330 0.000
O 2.189 4.330 4.372
O 2.189 6.492 2.178
O 2.189 6.492 6.566

<2>
32
Lattice="8.707 0.000 0.000 0.000 8.707 0.000 0.000 0.000 4.391" Properties=species:S:1:pos:R:3 comment="RbMg14FeO16 | the Materials Project | GGA+U | relaxed" density_g_cm3=3.68 space_group="P4/mmm (123)" pbc="T T T"
Rb 0.000 0.000 0.000
Mg 0.000 2.250 2.196
Mg 0.000 4.354 0.000
Mg 0.000 6.458 2.196
Mg 2.165 4.354 2.196
Mg 2.181 2.181 0.000
Mg 2.181 6.526 0.000
Mg 2.250 0.000 2.196
Mg 4.354 0.000 0.000
Mg 4.354 2.165 2.196
Mg 4.354 6.542 2.196
Mg 6.458 0.000 2.196
Mg 6.526 2.181 0.000
Mg 6.526 6.526 0.000
Mg 6.542 4.354 2.196
Fe 4.354 4.354 0.000
O 0.000 0.000 2.196
O 0.000 2.444 0.000
O 0.000 4.354 2.196
O 0.000 6.264 0.000
O 2.187 2.187 2.196
O 2.187 6.520 2.196
O 2.273 4.354 0.000
O 2.444 0.000 0.000
O 4.354 0.000 2.196
O 4.354 2.273 0.000
O 4.354 4.354 2.196
O 4.354 6.435 0.000
O 6.264 0.000 0.000
O 6.435 4.354 0.000
O 6.520 2.187 2.196
O 6.520 6.520 2.196

Most stable structure, least stable structure: <1>, <2>.

<1>
57
Lattice="7.643 0.000 0.000 1.611 7.534 0.000 0.058 3.580 17.603" Properties=species:S:1:pos:R:3 comment="MgFe4S6O46 | the Materials Project | GGA+U | relaxed" density_g_cm3=1.93 space_group="P-1 (2)" pbc="T T T"
Mg 0.000 0.000 0.000
Fe 1.448 6.170 5.395
Fe 3.935 3.112 5.403
Fe 5.377 8.002 12.200
Fe 7.864 4.944 12.208
S 1.795 4.005 3.193
S 1.682 3.591 7.557
S 2.554 3.080 13.165
S 6.758 8.034 4.438
S 7.630 7.523 10.046
S 7.517 7.109 14.410
O 1.138 7.624 13.934
O 0.523 2.743 7.748
O 1.354 4.628 6.481
O 2.034 5.444 3.721
O 2.358 7.517 6.621
O 1.168 0.872 1.432
O 1.419 4.958 16.937
O 1.965 4.045 1.753
O 2.753 7.783 5.408
O 1.957 4.220 12.332
O 2.166 4.240 8.766
O 3.343 10.358 14.336
O 3.491 5.786 0.230
O 2.960 3.202 3.792
O 2.810 2.743 6.952
O 4.088 9.420 12.200
O 3.988 7.677 9.350
O 4.048 6.442 12.381
O 4.515 7.076 8.436
O 4.498 5.620 1.060
O 4.238 5.097 5.920
O 4.434 6.684 16.345
O 3.951 3.389 13.440
O 5.361 7.725 4.163
O 4.878 4.430 1.259
O 5.074 6.017 11.683
O 4.814 5.494 16.543
O 4.797 4.038 9.167
O 5.264 4.672 5.223
O 5.324 3.437 8.253
O 5.224 1.694 5.403
O 6.502 8.371 10.651
O 6.352 7.912 13.811
O 5.821 5.328 17.373
O 5.969 0.756 3.267
O 7.146 6.873 8.837
O 7.355 6.894 5.271
O 6.559 3.331 12.196
O 7.347 7.069 15.851
O 7.894 6.156 0.666
O 8.144 10.242 16.172
O 6.954 3.597 10.982
O 7.278 5.670 13.882
O 7.958 6.486 11.122
O 8.789 8.371 9.855
O 8.174 3.489 3.670

<2>
57
Lattice="7.260 0.000 0.000 1.696 7.387 0.000 1.109 2.983 17.664" Properties=species:S:1:pos:R:3 comment="MgFe4S6O46 | the Materials Project | GGA+U | relaxed" density_g_cm3=2.06 space_group="P-1 (2)" pbc="T T T"
Mg 0.000 0.000 0.000
Fe 2.176 5.723 5.500
Fe 4.341 3.253 5.595
Fe 5.724 7.117 12.069
Fe 7.889 4.647 12.164
S 1.875 3.296 7.600
S 2.071 3.572 3.332
S 3.106 2.602 13.097
S 6.959 7.768 4.567
S 7.994 6.798 14.332
S 8.189 7.074 10.064
O 0.741 2.369 7.714
O 0.913 2.974 3.983
O 1.392 4.466 6.744
O 0.873 0.684 1.634
O 2.157 5.070 3.670
O 2.853 7.485 6.691
O 2.270 3.620 12.371
O 2.049 3.439 1.876
O 2.640 4.376 16.509
O 2.375 3.761 8.882
O 3.275 7.679 5.522
O 4.162 9.534 14.329
O 4.498 8.576 17.371
O 3.719 4.906 16.778
O 2.974 2.566 6.834
O 4.255 6.292 12.578
O 4.254 6.460 9.390
O 3.334 2.946 3.876
O 4.889 8.859 12.070
O 4.792 7.771 16.485
O 3.909 4.947 5.981
O 4.885 6.744 8.390
O 4.431 3.143 13.383
O 5.634 7.227 4.281
O 5.180 3.626 9.274
O 6.156 5.423 11.682
O 5.273 2.599 1.178
O 5.176 1.511 5.593
O 6.731 7.424 13.787
O 5.810 3.909 8.273
O 5.810 4.078 5.085
O 7.091 7.804 10.829
O 6.346 5.464 0.885
O 5.566 1.794 0.292
O 5.903 0.836 3.334
O 6.789 2.691 12.142
O 7.690 6.609 8.781
O 7.425 5.994 1.155
O 8.016 6.931 15.788
O 7.795 6.749 5.293
O 7.212 2.885 10.972
O 7.908 5.300 13.994
O 9.192 9.686 16.029
O 8.672 5.904 10.920
O 9.151 7.396 13.681
O 9.324 8.001 9.949

Most stable structure, least stable structure: <2>, <1>.

<1>
13
Lattice="5.891 0.000 0.000 -2.791 5.281 0.000 -2.159 -2.139 5.240" Properties=species:S:1:pos:R:3 comment="MgFe2Sb2O8 | the Materials Project | GGA+U | relaxed" density_g_cm3=5.17 space_group="P1 (1)" pbc="T T T"
Mg 0.000 0.000 0.000
Fe -3.821 4.174 2.648
Fe 3.360 1.511 0.412
Sb -2.314 1.642 4.871
Sb 0.609 1.590 2.616
O -0.371 2.076 0.736
O -1.206 0.886 3.449
O -0.191 -1.796 4.538
O 0.656 -0.205 1.887
O 1.203 4.731 0.717
O 0.273 3.352 3.365
O 2.326 2.210 1.913
O 1.596 1.121 4.470

<2>
13
Lattice="5.776 0.000 0.000 -2.330 5.319 0.000 -1.683 -2.658 4.896" Properties=species:S:1:pos:R:3 comment="MgFe2Sb2O8 | the Materials Project | GGA+U | relaxed" density_g_cm3=5.60 space_group="P1 (1)" pbc="T T T"
Mg 0.000 0.000 0.000
Fe 1.834 2.570 2.028
Fe 4.215 0.979 1.880
Sb 0.116 3.681 0.005
Sb 1.362 -0.906 3.531
O -2.074 2.735 3.647
O 0.093 1.912 0.879
O -0.408 0.258 3.395
O -1.111 4.494 1.431
O 0.668 3.341 3.414
O 2.979 1.805 0.613
O 1.730 4.421 0.866
O 2.468 0.773 3.622

<3>
13
Lattice="6.068 0.000 0.000 2.397 5.590 0.000 2.890 1.920 5.194" Properties=species:S:1:pos:R:3 comment="MgFe2Sb2O8 | the Materials Project | GGA+U | relaxed" density_g_cm3=4.78 space_group="P1 (1)" pbc="T T T"
Mg 0.000 0.000 0.000
Fe 3.173 2.054 1.189
Fe 6.160 4.004 0.279
Sb 4.776 3.088 3.521
Sb 7.799 5.091 2.753
O 2.154 3.911 1.167
O 3.124 2.018 3.281
O 1.661 1.036 0.287
O 4.971 3.211 1.592
O 6.481 4.204 3.911
O 8.144 6.810 3.729
O 6.847 5.951 1.191
O 9.504 4.722 3.734

Most stable structure, least stable structure: <1>, <3>.

<1>
19
Lattice="4.962 0.000 0.000 0.000 4.962 0.000 0.000 0.000 9.894" Properties=species:S:1:pos:R:3 comment="MgFe2Sb4O12 | the Materials Project | GGA+U | relaxed" density_g_cm3=5.56 space_group="P-4 (81)" pbc="T T T"
Mg 0.000 0.000 0.000
Fe 0.000 2.481 7.394
Fe 2.481 0.000 2.500
Sb 0.000 2.481 1.133
Sb 0.000 2.481 4.267
Sb 2.481 0.000 5.627
Sb 2.481 0.000 8.761
O 0.934 3.411 2.685
O 0.950 3.519 9.037
O 0.992 3.474 5.697
O 1.442 0.950 0.857
O 1.488 0.992 4.198
O 1.551 0.934 7.209
O 3.411 4.027 7.209
O 3.474 3.970 4.198
O 3.519 4.012 0.857
O 3.970 1.488 5.697
O 4.012 1.442 9.037
O 4.027 1.551 2.685

<2>
19
Lattice="4.916 0.000 0.000 0.000 9.762 0.000 -0.160 0.000 4.953" Properties=species:S:1:pos:R:3 comment="MgFe2Sb4O12 | the Materials Project | GGA+U | relaxed" density_g_cm3=5.69 space_group="P2 (3)" pbc="T T T"
Mg 0.000 0.000 0.000
Fe -0.080 4.525 2.477
Fe 2.458 9.162 0.000
Sb -0.080 1.502 2.477
Sb -0.080 7.559 2.477
Sb 2.458 2.882 0.000
Sb 2.458 6.053 0.000
O 0.849 9.025 3.469
O 0.909 6.087 3.428
O 1.001 2.954 3.401
O 1.387 1.287 0.740
O 1.393 7.537 0.954
O 1.485 4.475 0.865
O 3.270 4.475 4.089
O 3.363 7.537 4.000
O 3.368 1.287 4.214
O 3.755 2.954 1.552
O 3.846 6.087 1.525
O 3.906 9.025 1.484

Most stable structure, least stable structure: <2>, <1>.

<1>
15
Lattice="5.282 0.000 0.000 -2.584 4.617 0.000 -0.922 -1.384 8.212" Properties=species:S:1:pos:R:3 comment="MgFe2Si2SbO9 | the Materials Project | GGA+U | relaxed" density_g_cm3=3.80 space_group="P1 (1)" pbc="T T T"
Mg 0.000 0.000 0.000
Fe -0.791 1.774 7.644
Fe 1.741 0.288 7.680
Si -0.820 1.735 2.408
Si 1.862 0.184 2.412
Sb 1.854 3.298 5.427
O -0.892 1.634 0.780
O 0.047 0.011 6.628
O 0.501 0.925 2.966
O -0.757 3.261 3.005
O 1.869 0.128 0.780
O 0.270 3.442 6.673
O 1.804 2.967 0.566
O 3.152 0.968 3.057
O 2.631 1.877 6.664

<2>
15
Lattice="5.239 0.000 0.000 2.566 4.670 0.000 1.736 0.853 7.855" Properties=species:S:1:pos:R:3 comment="MgFe2Si2SbO9 | the Materials Project | GGA+U | relaxed" density_g_cm3=3.96 space_group="P1 (1)" pbc="T T T"
Mg 0.000 0.000 0.000
Fe 1.870 0.980 5.162
Fe 7.028 3.878 5.416
Si 5.248 3.869 2.630
Si 5.257 0.789 2.737
Sb 4.338 2.523 7.527
O 3.522 4.132 6.628
O 2.470 2.614 4.294
O 3.870 4.637 2.000
O 3.456 0.899 6.769
O 5.333 4.071 4.210
O 5.254 2.311 2.078
O 6.581 4.653 1.889
O 6.183 2.401 6.760
O 5.199 0.765 4.317

Most stable structure, least stable structure: <1>, <2>.